Record 1
The following is a PBE calculation of an optimized crystal structure of SiO2, from Materials Project.

abc: 7.6504 9.1335 20.0060
angles: 90.00 90.00 90.00
Last column: nearest neighbours and their distance in Å.
Positions (direct):
Si1 0.7972 0.2897 0.4459  4 O 1.62-1.63
Si2 0.7971 0.6180 0.0962  4 O 1.62-1.63
Si3 0.7971 0.3820 0.5962  4 O 1.62-1.63
Si4 0.5000 0.7832 0.1711  4 O 1.62-1.63
Si5 0.2028 0.2897 0.0541  4 O 1.62-1.63
Si6 0.2029 0.6180 0.0962  4 O 1.62-1.63
Si7 0.5000 0.9347 0.5752  4 O 1.61-1.63
Si8 0.2029 0.6180 0.4038  4 O 1.62-1.63
Si9 0.5000 0.0653 0.4248  4 O 1.61-1.63
Si10 0.5000 0.9347 0.9248  4 O 1.61-1.63
Si11 0.2028 0.7103 0.5541  4 O 1.62-1.63
Si12 0.7971 0.3820 0.9038  4 O 1.62-1.63
Si13 0.5000 0.2168 0.6711  4 O 1.62-1.63
Si14 0.7972 0.2897 0.0541  4 O 1.62-1.63
Si15 0.7972 0.7103 0.5541  4 O 1.62-1.63
Si16 0.7971 0.6180 0.4038  4 O 1.62-1.63
Si17 0.7972 0.7103 0.9459  4 O 1.62-1.63
Si18 0.2028 0.2897 0.4459  4 O 1.62-1.63
Si19 0.5000 0.2168 0.8289  4 O 1.62-1.63
Si20 0.2028 0.7103 0.9459  4 O 1.62-1.63
Si21 0.2029 0.3820 0.5962  4 O 1.62-1.63
Si22 0.5000 0.0653 0.0752  4 O 1.61-1.63
Si23 0.5000 0.7832 0.3289  4 O 1.62-1.63
Si24 0.2029 0.3820 0.9038  4 O 1.62-1.63
O1 0.3257 0.6883 0.3465  2 Si 1.62-1.63
O2 0.0000 0.7646 0.9433  2 Si 1.63
O3 0.6747 0.1642 0.0866  2 Si 1.62-1.63
O4 0.0000 0.3392 0.6113  2 Si 1.63
O5 0.6743 0.3117 0.6535  2 Si 1.62-1.63
O6 0.6743 0.6883 0.3465  2 Si 1.62-1.63
O7 0.0000 0.3392 0.8887  2 Si 1.63
O8 0.3253 0.8358 0.5866  2 Si 1.62-1.63
O9 0.2616 0.6825 0.0234  2 Si 1.63
O10 0.3257 0.6883 0.1535  2 Si 1.62-1.63
O11 0.5000 0.0645 0.6298  2 Si 1.61-1.62
O12 0.0000 0.6608 0.1113  2 Si 1.63
O13 0.6743 0.6883 0.1535  2 Si 1.62-1.63
O14 0.2616 0.6825 0.4766  2 Si 1.63
O15 0.5000 0.8209 0.2500  2 Si 1.62
O16 0.2255 0.4405 0.4032  2 Si 1.63
O17 0.6747 0.8358 0.9134  2 Si 1.62-1.63
O18 0.7384 0.6825 0.4766  2 Si 1.63
O19 0.6747 0.8358 0.5866  2 Si 1.62-1.63
O20 0.3257 0.3117 0.8465  2 Si 1.62-1.63
O21 0.7745 0.4405 0.4032  2 Si 1.63
O22 0.5000 0.0000 0.0000  2 Si 1.62
O23 0.3257 0.3117 0.6535  2 Si 1.62-1.63
O24 0.7745 0.4405 0.0968  2 Si 1.63
O25 0.7384 0.6825 0.0234  2 Si 1.63
O26 0.0000 0.2354 0.4433  2 Si 1.63
O27 0.0000 0.7646 0.5567  2 Si 1.63
O28 0.3253 0.1642 0.4134  2 Si 1.62-1.63
O29 0.5000 0.1791 0.7500  2 Si 1.62
O30 0.6743 0.3117 0.8465  2 Si 1.62-1.63
O31 0.2255 0.5595 0.5968  2 Si 1.63
O32 0.7384 0.3175 0.5234  2 Si 1.63
O33 0.7384 0.3175 0.9766  2 Si 1.63
O34 0.2616 0.3175 0.5234  2 Si 1.63
O35 0.6747 0.1642 0.4134  2 Si 1.62-1.63
O36 0.5000 0.0000 0.5000  2 Si 1.62
O37 0.0000 0.2354 0.0567  2 Si 1.63
O38 0.7745 0.5595 0.5968  2 Si 1.63
O39 0.3253 0.1642 0.0866  2 Si 1.62-1.63
O40 0.5000 0.0645 0.8702  2 Si 1.61-1.62
O41 0.2616 0.3175 0.9766  2 Si 1.63
O42 0.2255 0.5595 0.9032  2 Si 1.63
O43 0.5000 0.9355 0.1298  2 Si 1.61-1.62
O44 0.2255 0.4405 0.0968  2 Si 1.63
O45 0.0000 0.6608 0.3887  2 Si 1.63
O46 0.5000 0.9355 0.3702  2 Si 1.61-1.62
O47 0.7745 0.5595 0.9032  2 Si 1.63
O48 0.3253 0.8358 0.9134  2 Si 1.62-1.63

Formation enthalpy at 0 K = -3.252 eV/atom
Space-group type = Pmma (51)
Raw total energy = -7.90 eV/atom

---

Record 2
The following is a PBE calculation of an optimized crystal structure of Pr4As3, from Materials Project.

abc: 7.9035 7.9035 7.9035
angles: 109.47 109.47 109.47
Last column: nearest neighbours and their distance in Å.
Positions (direct):
Pr1 0.5000 0.0000 0.3676  6 As 3.00-3.33
Pr2 0.0000 0.3676 0.5000  6 As 3.00-3.33
Pr3 0.1324 0.1324 0.1324  6 As 3.00-3.33
Pr4 0.0000 0.8676 0.5000  6 As 3.00-3.33
Pr5 0.8676 0.5000 0.0000  6 As 3.00-3.33
Pr6 0.5000 0.0000 0.8676  6 As 3.00-3.33
Pr7 0.3676 0.5000 0.0000  6 As 3.00-3.33
Pr8 0.6324 0.6324 0.6324  6 As 3.00-3.33
As1 0.3750 0.2500 0.6250  8 Pr 3.00-3.33
As2 0.8750 0.1250 0.7500  8 Pr 3.00-3.33
As3 0.2500 0.6250 0.3750  8 Pr 3.00-3.33
As4 0.1250 0.7500 0.8750  8 Pr 3.00-3.33
As5 0.6250 0.3750 0.2500  8 Pr 3.00-3.33
As6 0.7500 0.8750 0.1250  8 Pr 3.00-3.33

Formation enthalpy at 0 K = -1.259 eV/atom
Space-group type = I-43d (220)
Raw total energy = -5.99 eV/atom

---

Record 3
The following is a PBE calculation of an optimized crystal structure of GeSb, from Materials Project.

abc: 4.1203 4.1203 4.1203
angles: 60.00 60.00 60.00
Last column: nearest neighbours and their distance in Å.
Positions (direct):
Ge1 0.0000 0.0000 0.0000  6 Sb 2.91
Sb1 0.5000 0.5000 0.5000  6 Ge 2.91

Formation enthalpy at 0 K = 0.049 eV/atom
Space-group type = Fm-3m (225)
Raw total energy = -4.23 eV/atom